No. 1
Na14Ta4In4Si11SO48 | the Materials Project database | PBE | optimized geometry; space-group type = P1, No. 1; magnetic moment = 0.00 μB/cell; energy of formation = -2.78 eV per atom
1.0
9.1759 0.0000 0.0000
0.0120 15.9141 0.0000
0.0135 0.0188 22.5725
Na Ta In Si S O
42 12 12 33 3 144
direct
0.0000 0.0000 0.0000 Na
0.0006 0.2958 0.3327 Na
0.0013 0.3245 0.6674 Na
0.0037 0.6394 0.0002 Na
0.0215 0.6644 0.3323 Na
0.1360 0.7946 0.8335 Na
0.1373 0.1262 0.5009 Na
0.1365 0.5041 0.4975 Na
0.1380 0.1724 0.8342 Na
0.1392 0.8279 0.1667 Na
0.1498 0.4689 0.1689 Na
0.2020 0.4821 0.8364 Na
0.2059 0.8175 0.5006 Na
0.3140 0.9855 0.5816 Na
0.3217 0.3104 0.2498 Na
0.3261 0.6512 0.9125 Na
0.3269 0.6505 0.4169 Na
0.3363 0.3113 0.7533 Na
0.3401 0.9865 0.0857 Na
0.4586 0.4902 0.3333 Na
0.4743 0.8184 0.0002 Na
0.4989 0.7953 0.3326 Na
0.5014 0.8252 0.6675 Na
0.5025 0.4966 0.9988 Na
0.5183 0.1634 0.3326 Na
0.5195 0.1353 0.0022 Na
0.6352 0.2932 0.8339 Na
0.6365 0.0040 0.4978 Na
0.6373 0.6266 0.5010 Na
0.6381 0.6738 0.8334 Na
0.6490 0.3257 0.1666 Na
0.6924 0.6567 0.1657 Na
0.7026 0.9820 0.8383 Na
0.7056 0.3173 0.5011 Na
0.8141 0.4856 0.5815 Na
0.8176 0.8166 0.2465 Na
0.8248 0.1491 0.9178 Na
0.8260 0.4829 0.0842 Na
0.8280 0.1502 0.4177 Na
0.8358 0.8122 0.7537 Na
0.9588 0.3089 0.0025 Na
0.9636 0.9890 0.3362 Na
0.3140 0.9843 0.7316 Ta
0.3261 0.3127 0.1025 Ta
0.3260 0.6515 0.0670 Ta
0.3265 0.3168 0.3967 Ta
0.3286 0.9846 0.9370 Ta
0.3342 0.3109 0.6033 Ta
0.3355 0.9835 0.2343 Ta
0.8146 0.4844 0.7314 Ta
0.8249 0.4826 0.9371 Ta
0.8281 0.4832 0.2325 Ta
0.8281 0.8164 0.3965 Ta
0.8340 0.8112 0.6033 Ta
0.3234 0.3168 0.8982 In
0.3260 0.9832 0.4371 In
0.3269 0.6492 0.2673 In
0.3276 0.6555 0.7690 In
0.3340 0.6535 0.5652 In
0.8195 0.1515 0.0681 In
0.8195 0.8159 0.0971 In
0.8241 0.1545 0.2667 In
0.8255 0.4828 0.4378 In
0.8257 0.8150 0.8995 In
0.8278 0.1550 0.7695 In
0.8338 0.1533 0.5654 In
0.0289 0.6514 0.1689 Si
0.0333 0.9832 0.8357 Si
0.0391 0.3172 0.5020 Si
0.1202 0.4829 0.3364 Si
0.1221 0.8171 0.0014 Si
0.1246 0.1495 0.6670 Si
0.1763 0.7989 0.6679 Si
0.1782 0.1687 0.9991 Si
0.1794 0.1291 0.3359 Si
0.1793 0.4639 0.0009 Si
0.1797 0.8372 0.3350 Si
0.4680 0.4612 0.5013 Si
0.4723 0.1275 0.8327 Si
0.4719 0.8397 0.8327 Si
0.4732 0.1704 0.4995 Si
0.4748 0.5012 0.1676 Si
0.4757 0.8002 0.1695 Si
0.5247 0.1474 0.1671 Si
0.5329 0.4832 0.8345 Si
0.5396 0.8173 0.5016 Si
0.6190 0.3168 0.9987 Si
0.6226 0.9827 0.3363 Si
0.6247 0.6496 0.6670 Si
0.6760 0.6669 0.0004 Si
0.6765 0.2988 0.6680 Si
0.6783 0.3372 0.3358 Si
0.6802 0.9648 0.9985 Si
0.6809 0.6300 0.3358 Si
0.9682 0.9613 0.5012 Si
0.9713 0.3395 0.8330 Si
0.9724 0.6266 0.8339 Si
0.9732 0.6704 0.4998 Si
0.9776 0.2984 0.1678 Si
0.1760 0.4994 0.6676 S
0.6759 0.9994 0.6674 S
0.9795 0.0006 0.1692 S
0.0057 0.1413 0.3275 O
0.0065 0.1533 0.0102 O
0.0070 0.4693 0.2780 O
0.0138 0.4877 0.6733 O
0.0263 0.5012 0.3951 O
0.0287 0.1724 0.7256 O
0.0290 0.7898 0.9438 O
0.0296 0.8398 0.0603 O
0.0340 0.1303 0.6070 O
0.1226 0.6663 0.2278 O
0.1423 0.9957 0.8941 O
0.1429 0.6355 0.1117 O
0.1434 0.9922 0.1743 O
0.1439 0.9665 0.5012 O
0.1475 0.3267 0.5599 O
0.1472 0.3349 0.8343 O
0.1473 0.9727 0.7785 O
0.1488 0.6295 0.8323 O
0.1488 0.6651 0.5035 O
0.1505 0.3072 0.4428 O
0.1549 0.3157 0.1586 O
0.1908 0.2259 0.9403 O
0.1924 0.7441 0.7281 O
0.1956 0.0750 0.3959 O
0.2002 0.5502 0.6138 O
0.2108 0.9005 0.2770 O
0.2122 0.4010 0.0574 O
0.2152 0.3935 0.3386 O
0.2241 0.2373 0.6594 O
0.2281 0.5621 0.3299 O
0.2312 0.7330 0.0113 O
0.2307 0.8996 0.9926 O
0.2349 0.0679 0.6762 O
0.2393 0.4126 0.6620 O
0.2394 0.5369 0.7216 O
0.2442 0.7432 0.3296 O
0.2476 0.5589 0.0130 O
0.2547 0.8747 0.3939 O
0.2583 0.7619 0.6094 O
0.2585 0.8923 0.6757 O
0.2604 0.2206 0.0545 O
0.2603 0.4324 0.9415 O
0.2615 0.0775 0.2805 O
0.2620 0.0764 0.9961 O
0.2630 0.2223 0.3389 O
0.3833 0.8902 0.1736 O
0.3844 0.5509 0.5029 O
0.3901 0.7493 0.8353 O
0.3913 0.0810 0.5006 O
0.3924 0.2180 0.8338 O
0.3946 0.5342 0.2264 O
0.3970 0.7482 0.1120 O
0.4001 0.0738 0.7777 O
0.4001 0.2219 0.5565 O
0.4002 0.4120 0.4410 O
0.4017 0.8908 0.8911 O
0.4063 0.4070 0.1560 O
0.4178 0.0648 0.1772 O
0.4243 0.3984 0.5565 O
0.4247 0.2352 0.1581 O
0.4314 0.0696 0.8924 O
0.4315 0.8984 0.7747 O
0.4354 0.2317 0.4410 O
0.4377 0.5688 0.8318 O
0.4390 0.3979 0.8342 O
0.4406 0.5654 0.1113 O
0.4425 0.9023 0.5010 O
0.4444 0.7317 0.4996 O
0.4537 0.7432 0.2277 O
0.4970 0.3331 0.3379 O
0.4967 0.6543 0.0103 O
0.4991 0.3135 0.6589 O
0.4987 0.9755 0.9915 O
0.5056 0.9660 0.2797 O
0.5077 0.6430 0.3289 O
0.5086 0.3325 0.0566 O
0.5138 0.9876 0.6730 O
0.5247 0.3001 0.9400 O
0.5289 0.6718 0.7258 O
0.5300 0.0048 0.3948 O
0.5339 0.6300 0.6071 O
0.6152 0.1307 0.1071 O
0.6194 0.1717 0.2254 O
0.6437 0.4665 0.5012 O
0.6442 0.4936 0.8927 O
0.6470 0.4730 0.7779 O
0.6473 0.8267 0.5598 O
0.6479 0.8327 0.8337 O
0.6488 0.1301 0.8315 O
0.6488 0.1653 0.5033 O
0.6500 0.8074 0.1623 O
0.6511 0.8071 0.4427 O
0.6546 0.4942 0.1725 O
0.6850 0.7255 0.9422 O
0.6869 0.9011 0.0541 O
0.6933 0.2441 0.7280 O
0.6994 0.5736 0.3943 O
0.7002 0.0501 0.6135 O
0.7136 0.4001 0.2769 O
0.7165 0.8937 0.3391 O
0.7193 0.4044 0.9958 O
0.7237 0.7374 0.6595 O
0.7271 0.2374 0.0043 O
0.7314 0.0608 0.3252 O
0.7354 0.5681 0.6763 O
0.7395 0.9126 0.6618 O
0.7396 0.0368 0.7213 O
0.7436 0.2432 0.3304 O
0.7475 0.5718 0.9923 O
0.7512 0.0580 0.0047 O
0.7534 0.3745 0.3943 O
0.7567 0.9278 0.9390 O
0.7583 0.2623 0.6093 O
0.7589 0.3924 0.6759 O
0.7586 0.5812 0.2770 O
0.7596 0.6990 0.0589 O
0.7654 0.7225 0.3389 O
0.8844 0.0510 0.5029 O
0.8907 0.2492 0.8352 O
0.8910 0.5810 0.5009 O
0.8923 0.7171 0.8353 O
0.8943 0.2632 0.1099 O
0.8999 0.5736 0.7787 O
0.9000 0.7219 0.5567 O
0.9005 0.9124 0.4410 O
0.9015 0.3897 0.8924 O
0.9016 0.3943 0.1761 O
0.9185 0.9145 0.1662 O
0.9188 0.0407 0.2227 O
0.9243 0.8985 0.5565 O
0.9270 0.7336 0.1621 O
0.9315 0.3991 0.7754 O
0.9305 0.5632 0.1728 O
0.9327 0.5685 0.8944 O
0.9358 0.7316 0.4413 O
0.9370 0.0681 0.8313 O
0.9420 0.4021 0.5016 O
0.9423 0.8965 0.8356 O
0.9441 0.2316 0.4997 O
0.9533 0.0494 0.1146 O
0.9592 0.2459 0.2280 O
0.9977 0.8331 0.3387 O
0.9993 0.4726 0.9967 O
0.9988 0.8135 0.6589 O

---

No. 2
PmPrMg2 | the Materials Project database | PBE | optimized geometry; space-group type = Fm-3m, No. 225; energy of formation = -0.10 eV per atom
1.0
0.0000 3.8834 3.8834
3.8834 0.0000 3.8834
3.8834 3.8834 0.0000
Pm Pr Mg
1 1 2
direct
0.0000 0.0000 0.0000 Pm
0.5000 0.5000 0.5000 Pr
0.2500 0.2500 0.2500 Mg
0.7500 0.7500 0.7500 Mg